(1)
! P2Pt5, optimized geometry, DFT r2SCAN; values from VASP
&SYSTEM
  ibrav = 0, nat = 14, ntyp = 2
/
ATOMIC_SPECIES
P 30.97 P.upf
Pt 195.08 Pt.upf
CELL_PARAMETERS angstrom
5.4375 -2.7061 0.0000
5.4375 2.7061 0.0000
-1.2505 0.0000 7.3626
ATOMIC_POSITIONS crystal
P 0.0643 0.2526 0.2763
P 0.2526 0.0643 0.7763
P 0.7474 0.9357 0.2237
P 0.9357 0.7474 0.7237
Pt 0.1064 0.6557 0.0314
Pt 0.1310 0.5802 0.4039
Pt 0.3443 0.8936 0.4686
Pt 0.3888 0.6112 0.7500
Pt 0.4198 0.8690 0.0961
Pt 0.5802 0.1310 0.9039
Pt 0.6112 0.3888 0.2500
Pt 0.6557 0.1064 0.5314
Pt 0.8690 0.4198 0.5961
Pt 0.8936 0.3443 0.9686
! Electronic total energy   -39.7938 eV per atom
! Formation energy   -445 meV per atom
! Space-group type   No. 15


(2)
! ScPPt, optimized geometry, DFT r2SCAN; values from VASP
&SYSTEM
  ibrav = 0, nat = 12, ntyp = 3
/
ATOMIC_SPECIES
Sc 44.96 Sc.upf
P 30.97 P.upf
Pt 195.08 Pt.upf
CELL_PARAMETERS angstrom
6.6873 0.0000 0.0000
0.0000 3.8355 0.0000
0.0000 0.0000 7.4102
ATOMIC_POSITIONS crystal
Sc 0.0315 0.2500 0.1819
Sc 0.4685 0.7500 0.6819
Sc 0.5315 0.2500 0.3181
Sc 0.9685 0.7500 0.8181
P 0.2430 0.2500 0.8745
P 0.2570 0.7500 0.3745
P 0.7430 0.2500 0.6255
P 0.7570 0.7500 0.1255
Pt 0.1562 0.2500 0.5598
Pt 0.3438 0.7500 0.0598
Pt 0.6562 0.2500 0.9402
Pt 0.8438 0.7500 0.4402
! Electronic total energy   -25.3046 eV per atom
! Formation energy   -1342 meV per atom
! Space-group type   No. 62